1.
{"formula": "Li7Fe4NiO12", "functional": "PBE with a Hubbard U", "state": "optimized geometry", "lattice_angstrom": [[-1.9081, 3.2497, 3.2560], [-0.0414, -3.9944, 3.9920], [6.8562, 1.0351, 3.0112]], "species": ["Li", "O", "O", "Li", "O", "O", "Fe", "Li", "Fe", "O", "O", "Li", "O", "Li", "O", "O", "O", "Fe", "O", "Li", "Ni", "Li", "Fe", "O"], "fractional_positions": [[0.4995, 0.8858, 0.1886], [0.3454, 0.5325, 0.7666], [0.6395, 0.5350, 0.2657], [0.4973, 0.1857, 0.8503], [0.8323, 0.7010, 0.5920], [0.6849, 0.2131, 0.5923], [0.9989, 0.0322, 0.0243], [0.5001, 0.8817, 0.6937], [0.4953, 0.5371, 0.0194], [0.1421, 0.0454, 0.7704], [0.6722, 0.8497, 0.9464], [0.5055, 0.1886, 0.3431], [0.1757, 0.3577, 0.4499], [0.9953, 0.6996, 0.8514], [0.3273, 0.8582, 0.4473], [0.1762, 0.7184, 0.0890], [0.3252, 0.2233, 0.0916], [0.5007, 0.5397, 0.5112], [0.8600, 0.0343, 0.2671], [0.0024, 0.6871, 0.3379], [0.0008, 0.3799, 0.6907], [0.9991, 0.3832, 0.1882], [0.0047, 0.0260, 0.5115], [0.8228, 0.3558, 0.9378]], "volume_a3_per_atom": 8.72, "formation_energy_ev_per_atom": -1.74}

***

2.
{"formula": "Li4Fe3NiO8", "functional": "PBE with a Hubbard U", "state": "optimized geometry", "lattice_angstrom": [[-3.8848, 0.0025, -4.2545], [0.3485, -4.6511, 3.4774], [-2.2264, 4.9780, 2.1172]], "species": ["Fe", "O", "O", "Ni", "O", "O", "Li", "Fe", "O", "Li", "O", "O", "Li", "Fe", "Li", "O"], "fractional_positions": [[0.0000, 0.5000, 0.0000], [0.7497, 0.0322, 0.2424], [0.2503, 0.9678, 0.7576], [0.0000, 0.0000, 0.0000], [0.2579, 0.0339, 0.2288], [0.2659, 0.5406, 0.2268], [0.5000, 0.5000, 0.5000], [0.5000, 0.5000, 0.0000], [0.2811, 0.4724, 0.7823], [0.0000, 0.0000, 0.5000], [0.7421, 0.9661, 0.7712], [0.7189, 0.5276, 0.2177], [0.0000, 0.5000, 0.5000], [0.5000, 0.0000, 0.0000], [0.5000, 0.0000, 0.5000], [0.7341, 0.4594, 0.7732]], "volume_a3_per_atom": 8.88, "formation_energy_ev_per_atom": -1.63, "e_above_lowest_polymorph_kcal_per_mol_atoms": 4.47}

***

3.
{"formula": "Li2Fe3NiO8", "functional": "PBE with a Hubbard U", "state": "optimized geometry", "lattice_angstrom": [[-4.6829, -2.9472, 1.9699], [-0.7628, -1.0507, 5.7280], [-4.2335, 2.6824, 3.0624]], "species": ["O", "Fe", "O", "Li", "O", "Fe", "O", "O", "O", "Ni", "Fe", "O", "O", "Li"], "fractional_positions": [[0.2521, 0.2521, 0.7094], [0.5000, 0.5000, 0.0000], [0.7479, 0.7479, 0.2906], [0.8783, 0.8783, 0.8783], [0.7479, 0.2906, 0.7479], [0.0000, 0.5000, 0.5000], [0.2906, 0.7479, 0.7479], [0.7094, 0.2521, 0.2521], [0.7381, 0.7381, 0.7381], [0.5000, 0.5000, 0.5000], [0.5000, 0.0000, 0.5000], [0.2619, 0.2619, 0.2619], [0.2521, 0.7094, 0.2521], [0.1217, 0.1217, 0.1217]], "volume_a3_per_atom": 9.91, "formation_energy_ev_per_atom": -1.51, "e_above_lowest_polymorph_kcal_per_mol_atoms": 1.27}

***

4.
{"formula": "Li3FeNi3O8", "functional": "PBE with a Hubbard U", "state": "optimized geometry", "lattice_angstrom": [[2.8893, -5.0044, 0.0000], [2.8893, 5.0044, 0.0000], [0.0000, 0.0000, 9.4285]], "species": ["Li", "Ni", "O", "Ni", "O", "O", "O", "Li", "O", "O", "Li", "O", "Fe", "O", "Ni", "Li", "Ni", "Li", "O", "O", "O", "O", "O", "Li", "O", "Ni", "O", "Fe", "O", "Ni"], "fractional_positions": [[0.8326, 0.1674, 0.5517], [0.1681, 0.3361, 0.7867], [0.5149, 0.0299, 0.1469], [0.8319, 0.1681, 0.2867], [0.1640, 0.8360, 0.4112], [0.0000, 0.0000, 0.6876], [0.0299, 0.5149, 0.6469], [0.6651, 0.8326, 0.0517], [0.4851, 0.5149, 0.6469], [0.8360, 0.6720, 0.9112], [0.1674, 0.8326, 0.0517], [0.9701, 0.4851, 0.1469], [0.6667, 0.3333, 0.0139], [0.1640, 0.3280, 0.4112], [0.8319, 0.6639, 0.2867], [0.8326, 0.6651, 0.5517], [0.6639, 0.8319, 0.7867], [0.1674, 0.3349, 0.0517], [0.4851, 0.9701, 0.6469], [0.3280, 0.1640, 0.9112], [0.0000, 0.0000, 0.1876], [0.6667, 0.3333, 0.3937], [0.5149, 0.4851, 0.1469], [0.3349, 0.1674, 0.5517], [0.8360, 0.1640, 0.9112], [0.3361, 0.1681, 0.2867], [0.6720, 0.8360, 0.4112], [0.3333, 0.6667, 0.5139], [0.3333, 0.6667, 0.8937], [0.1681, 0.8319, 0.7867]], "volume_a3_per_atom": 9.09, "formation_energy_ev_per_atom": -1.43, "e_above_lowest_polymorph_kcal_per_mol_atoms": 0.85}